TaAlO4 after structural relaxation. Source: the Materials Project, functional PBE.

a b c (Å): 4.5134 11.3952 4.8067
angles (deg): 90.00 90.00 90.00
Last column: nearest neighbours and their distance in Å.
Fractional positions:
Ta 0.0000 0.1685 0.2500  6 O 1.93-2.10
Ta 0.0000 0.8315 0.7500  6 O 1.93-2.10
Ta 0.5000 0.3315 0.7500  6 O 1.93-2.10
Ta 0.5000 0.6685 0.2500  6 O 1.93-2.10
Al 0.0000 0.4349 0.2500  6 O 1.89-1.94
Al 0.0000 0.5651 0.7500  6 O 1.89-1.94
Al 0.5000 0.0651 0.7500  6 O 1.89-1.94
Al 0.5000 0.9349 0.2500  6 O 1.89-1.94
O 0.2257 0.3127 0.0806  1 Al 1.91, 2 Ta 2.03-2.10
O 0.2257 0.6873 0.5806  1 Al 1.91, 2 Ta 2.03-2.10
O 0.2330 0.4423 0.5773  2 Al 1.89-1.94, 1 Ta 1.93
O 0.2330 0.5577 0.0773  2 Al 1.89-1.94, 1 Ta 1.93
O 0.2670 0.0577 0.0773  2 Al 1.89-1.94, 1 Ta 1.93
O 0.2670 0.9423 0.5773  2 Al 1.89-1.94, 1 Ta 1.93
O 0.2743 0.1873 0.5806  1 Al 1.91, 2 Ta 2.03-2.10
O 0.2743 0.8127 0.0806  1 Al 1.91, 2 Ta 2.03-2.10
O 0.7257 0.1873 0.9194  1 Al 1.91, 2 Ta 2.03-2.10
O 0.7257 0.8127 0.4194  1 Al 1.91, 2 Ta 2.03-2.10
O 0.7330 0.0577 0.4227  2 Al 1.89-1.94, 1 Ta 1.93
O 0.7330 0.9423 0.9227  2 Al 1.89-1.94, 1 Ta 1.93
O 0.7670 0.4423 0.9227  2 Al 1.89-1.94, 1 Ta 1.93
O 0.7670 0.5577 0.4227  2 Al 1.89-1.94, 1 Ta 1.93
O 0.7743 0.3127 0.4194  1 Al 1.91, 2 Ta 2.03-2.10
O 0.7743 0.6873 0.9194  1 Al 1.91, 2 Ta 2.03-2.10

Properties
- Crystal system: orthorhombic
- Formation enthalpy at 0 K: -3382 meV per atom
- Calculated total energy: -8.823 eV per atom